[1]
Co2P2O7 (PBE with a Hubbard U, relaxed); formation energy from the elements = -2.24 eV per atom; density = 3.95 g/cm³; energy relative to the lowest polymorph listed for this composition = 0.11 eV/f.u.; uncorrected energy = -6.934 eV/atom
1.0
5.324 0.000 0.000
-1.304 5.224 0.000
-1.323 -1.665 8.826
Co P O
4 4 14
Direct
0.000 0.000 0.000
0.001 0.000 0.499
0.372 0.625 0.506
0.377 0.624 0.006
0.471 0.097 0.300
0.471 0.097 0.800
0.906 0.528 0.706
0.907 0.527 0.206
0.068 0.386 0.115
0.068 0.386 0.614
0.068 0.690 0.359
0.069 0.689 0.859
0.308 0.935 0.647
0.309 0.936 0.147
0.310 0.238 0.892
0.311 0.239 0.392
0.616 0.939 0.893
0.618 0.939 0.392
0.689 0.312 0.753
0.689 0.313 0.253
0.761 0.685 0.113
0.761 0.686 0.613

=====

[2]
Co3P4O14 (PBE with a Hubbard U, relaxed); formation energy from the elements = -1.97 eV per atom; total magnetic moment = 2.85 μB per cell; density = 3.39 g/cm³; energy relative to the lowest polymorph listed for this composition = 4.48 eV/f.u.; uncorrected energy = -6.625 eV/atom
1.0
5.294 0.000 0.000
1.835 6.094 0.000
2.615 1.790 15.932
Co P O
6 8 28
Direct
0.044 0.122 0.319
0.208 0.774 0.094
0.230 0.463 0.830
0.770 0.537 0.170
0.792 0.226 0.906
0.956 0.878 0.681
0.177 0.608 0.290
0.299 0.279 0.044
0.369 0.926 0.819
0.436 0.267 0.422
0.564 0.733 0.578
0.631 0.074 0.181
0.701 0.721 0.956
0.823 0.392 0.710
0.004 0.539 0.718
0.020 0.829 0.321
0.115 0.486 0.083
0.168 0.092 0.054
0.181 0.153 0.839
0.219 0.787 0.787
0.265 0.835 0.593
0.272 0.122 0.400
0.341 0.333 0.509
0.356 0.638 0.205
0.371 0.062 0.232
0.381 0.487 0.354
0.410 0.340 0.953
0.434 0.796 0.911
0.566 0.204 0.089
0.590 0.660 0.047
0.619 0.513 0.646
0.629 0.938 0.768
0.644 0.362 0.795
0.659 0.667 0.491
0.728 0.878 0.600
0.735 0.165 0.407
0.781 0.213 0.213
0.819 0.847 0.161
0.832 0.908 0.946
0.885 0.514 0.917
0.980 0.171 0.679
0.996 0.461 0.282

=====

[3]
Co3P4O14 (PBE with a Hubbard U, relaxed); formation energy from the elements = -2.10 eV per atom; total magnetic moment = 12.16 μB per cell; density = 3.40 g/cm³; energy relative to the lowest polymorph listed for this composition = 1.82 eV/f.u.; uncorrected energy = -6.751 eV/atom
1.0
6.387 0.000 0.000
-0.319 8.412 0.000
-0.267 -3.093 9.527
Co P O
6 8 28
Direct
0.000 0.000 0.000
0.152 0.621 0.937
0.215 0.603 0.379
0.500 0.000 0.500
0.785 0.397 0.621
0.848 0.379 0.063
0.022 0.751 0.682
0.227 0.948 0.277
0.318 0.316 0.691
0.338 0.297 0.990
0.662 0.703 0.010
0.682 0.684 0.309
0.773 0.052 0.723
0.978 0.249 0.318
0.048 0.078 0.338
0.093 0.796 0.838
0.118 0.411 0.725
0.165 0.426 0.030
0.167 0.376 0.349
0.172 0.874 0.120
0.195 0.690 0.581
0.219 0.823 0.360
0.247 0.124 0.986
0.283 0.142 0.583
0.405 0.283 0.833
0.442 0.044 0.324
0.462 0.650 0.923
0.493 0.416 0.646
0.507 0.584 0.354
0.538 0.350 0.077
0.558 0.956 0.676
0.595 0.717 0.167
0.717 0.858 0.417
0.753 0.876 0.014
0.781 0.177 0.640
0.805 0.310 0.419
0.828 0.126 0.880
0.833 0.624 0.651
0.835 0.574 0.970
0.882 0.589 0.275
0.907 0.204 0.162
0.952 0.922 0.662

=====

[4]
Co5P8O28 (PBE with a Hubbard U, relaxed); formation energy from the elements = -2.06 eV per atom; total magnetic moment = 5.86 μB per cell; density = 3.02 g/cm³; energy relative to the lowest polymorph listed for this composition = 1.58 eV/f.u.; uncorrected energy = -6.697 eV/atom
1.0
9.366 0.000 0.000
4.631 9.625 0.000
3.513 -0.742 12.102
Co P O
10 16 56
Direct
0.009 0.246 0.058
0.009 0.749 0.435
0.309 0.492 0.759
0.400 0.214 0.602
0.405 0.216 0.120
0.595 0.784 0.880
0.600 0.786 0.398
0.691 0.508 0.241
0.991 0.251 0.565
0.991 0.754 0.942
0.046 0.310 0.308
0.063 0.306 0.805
0.193 0.460 0.544
0.205 0.449 0.037
0.291 0.963 0.601
0.302 0.785 0.788
0.315 0.957 0.099
0.344 0.786 0.289
0.656 0.214 0.711
0.685 0.043 0.901
0.698 0.215 0.212
0.709 0.037 0.399
0.795 0.551 0.963
0.807 0.540 0.456
0.937 0.694 0.195
0.954 0.690 0.692
0.006 0.721 0.282
0.023 0.224 0.408
0.025 0.533 0.643
0.053 0.539 0.138
0.058 0.678 0.771
0.063 0.208 0.900
0.148 0.049 0.554
0.164 0.055 0.066
0.169 0.802 0.897
0.173 0.546 0.446
0.187 0.313 0.029
0.187 0.534 0.933
0.208 0.778 0.384
0.210 0.310 0.531
0.212 0.898 0.710
0.226 0.272 0.250
0.230 0.315 0.757
0.249 0.885 0.205
0.337 0.439 0.594
0.362 0.410 0.071
0.365 0.048 0.637
0.374 0.637 0.732
0.409 0.032 0.126
0.428 0.831 0.530
0.432 0.863 0.321
0.434 0.833 0.017
0.439 0.817 0.800
0.474 0.644 0.230
0.526 0.356 0.770
0.561 0.183 0.200
0.566 0.167 0.983
0.568 0.137 0.679
0.572 0.169 0.470
0.591 0.968 0.874
0.626 0.363 0.268
0.635 0.952 0.363
0.638 0.590 0.929
0.663 0.561 0.406
0.751 0.115 0.795
0.770 0.685 0.243
0.774 0.728 0.750
0.788 0.102 0.290
0.790 0.690 0.469
0.792 0.222 0.616
0.813 0.466 0.067
0.813 0.687 0.971
0.827 0.454 0.554
0.831 0.198 0.103
0.836 0.945 0.934
0.852 0.951 0.446
0.937 0.792 0.100
0.942 0.322 0.229
0.947 0.461 0.862
0.975 0.467 0.357
0.977 0.776 0.592
0.994 0.279 0.718

=====

[5]
Co3P4O14 (PBE with a Hubbard U, relaxed); formation energy from the elements = -2.18 eV per atom; total magnetic moment = 22.00 μB per cell; density = 3.40 g/cm³; energy relative to the lowest polymorph listed for this composition = 0.00 eV/f.u.; uncorrected energy = -6.838 eV/atom
1.0
7.311 0.000 0.000
0.000 7.937 0.000
-3.251 0.000 8.820
Co P O
6 8 28
Direct
0.000 0.000 0.000
0.000 0.500 0.500
0.194 0.123 0.527
0.194 0.377 0.027
0.806 0.623 0.973
0.806 0.877 0.473
0.107 0.711 0.802
0.107 0.789 0.302
0.396 0.035 0.290
0.396 0.465 0.790
0.604 0.535 0.210
0.604 0.965 0.710
0.893 0.211 0.698
0.893 0.289 0.198
0.004 0.212 0.871
0.004 0.288 0.371
0.030 0.581 0.889
0.030 0.919 0.389
0.123 0.617 0.377
0.123 0.883 0.877
0.268 0.096 0.130
0.268 0.404 0.630
0.321 0.653 0.815
0.321 0.847 0.315
0.365 0.151 0.408
0.365 0.349 0.908
0.390 0.506 0.188
0.390 0.994 0.688
0.610 0.006 0.312
0.610 0.494 0.812
0.635 0.651 0.092
0.635 0.849 0.592
0.679 0.153 0.685
0.679 0.347 0.185
0.732 0.596 0.370
0.732 0.904 0.870
0.877 0.117 0.123
0.877 0.383 0.623
0.970 0.081 0.611
0.970 0.419 0.111
0.996 0.712 0.629
0.996 0.788 0.129

=====

[6]
CoP2O10 (PBE with a Hubbard U, relaxed); formation energy from the elements = -1.19 eV per atom; total magnetic moment = 6.00 μB per cell; density = 2.72 g/cm³; uncorrected energy = -5.724 eV/atom
1.0
5.132 0.000 0.000
0.000 9.504 0.000
-5.118 0.000 7.032
Co P O
2 4 20
Direct
0.000 0.000 0.000
0.000 0.500 0.500
0.411 0.211 0.667
0.411 0.289 0.167
0.589 0.711 0.833
0.589 0.789 0.333
0.041 0.526 0.329
0.041 0.974 0.829
0.100 0.151 0.635
0.100 0.349 0.135
0.284 0.676 0.633
0.284 0.824 0.133
0.397 0.127 0.142
0.397 0.373 0.642
0.420 0.139 0.510
0.420 0.361 0.010
0.580 0.639 0.990
0.580 0.861 0.490
0.603 0.627 0.358
0.603 0.873 0.858
0.716 0.176 0.867
0.716 0.324 0.367
0.900 0.651 0.865
0.900 0.849 0.365
0.959 0.026 0.171
0.959 0.474 0.671

=====

[7]
CoP3O9 (PBE with a Hubbard U, relaxed); formation energy from the elements = -2.27 eV per atom; total magnetic moment = 12.00 μB per cell; density = 2.82 g/cm³; energy relative to the lowest polymorph listed for this composition = 0.63 eV/f.u.; uncorrected energy = -6.892 eV/atom
1.0
9.461 0.000 0.000
-2.990 8.979 0.000
-2.529 -4.177 8.212
Co P O
4 12 36
Direct
0.108 0.304 0.207
0.258 0.776 0.728
0.742 0.224 0.272
0.892 0.696 0.793
0.002 0.606 0.352
0.063 0.797 0.169
0.186 0.093 0.922
0.298 0.436 0.593
0.431 0.666 0.304
0.490 0.842 0.098
0.510 0.158 0.902
0.569 0.334 0.696
0.702 0.564 0.407
0.814 0.907 0.078
0.937 0.203 0.831
0.998 0.394 0.648
0.015 0.632 0.201
0.033 0.575 0.687
0.033 0.723 0.990
0.092 0.165 0.821
0.126 0.907 0.816
0.147 0.738 0.509
0.155 0.366 0.648
0.174 0.140 0.084
0.222 0.933 0.291
0.236 0.327 0.412
0.272 0.513 0.241
0.354 0.621 0.648
0.357 0.804 0.942
0.369 0.197 0.950
0.416 0.699 0.143
0.430 0.405 0.700
0.435 0.984 0.767
0.487 0.816 0.454
0.513 0.184 0.546
0.565 0.016 0.233
0.570 0.595 0.300
0.584 0.301 0.857
0.631 0.803 0.050
0.643 0.196 0.058
0.646 0.379 0.352
0.728 0.487 0.759
0.764 0.673 0.588
0.778 0.067 0.709
0.826 0.860 0.916
0.845 0.634 0.352
0.853 0.262 0.491
0.874 0.093 0.184
0.908 0.835 0.179
0.967 0.277 0.010
0.967 0.425 0.313
0.985 0.368 0.799

=====

[8]
Co3P4O14 (PBE with a Hubbard U, relaxed); formation energy from the elements = -2.10 eV per atom; total magnetic moment = 11.00 μB per cell; density = 3.54 g/cm³; energy relative to the lowest polymorph listed for this composition = 1.73 eV/f.u.; uncorrected energy = -6.756 eV/atom
1.0
5.448 0.000 0.000
2.627 6.423 0.000
1.141 1.458 7.030
Co P O
3 4 14
Direct
0.000 0.000 0.000
0.186 0.512 0.310
0.814 0.488 0.690
0.210 0.726 0.657
0.352 0.313 0.936
0.648 0.687 0.064
0.790 0.274 0.343
0.053 0.650 0.544
0.056 0.934 0.722
0.167 0.230 0.863
0.244 0.563 0.861
0.313 0.291 0.152
0.350 0.761 0.132
0.484 0.696 0.557
0.516 0.304 0.443
0.650 0.239 0.868
0.687 0.709 0.848
0.756 0.437 0.139
0.833 0.770 0.137
0.944 0.066 0.278
0.947 0.350 0.456

=====

[9]
Co5P8O28 (PBE with a Hubbard U, relaxed); formation energy from the elements = -2.10 eV per atom; total magnetic moment = 21.07 μB per cell; density = 3.17 g/cm³; energy relative to the lowest polymorph listed for this composition = 0.00 eV/f.u.; uncorrected energy = -6.735 eV/atom
1.0
6.559 0.000 0.000
0.565 8.188 0.000
0.148 3.217 9.672
Co P O
5 8 28
Direct
0.000 0.000 0.000
0.160 0.373 0.940
0.224 0.382 0.384
0.776 0.618 0.616
0.840 0.627 0.060
0.021 0.250 0.683
0.228 0.052 0.258
0.309 0.683 0.696
0.337 0.702 0.986
0.663 0.298 0.014
0.691 0.317 0.304
0.772 0.948 0.742
0.979 0.750 0.317
0.049 0.926 0.330
0.090 0.207 0.836
0.136 0.563 0.749
0.146 0.141 0.106
0.163 0.616 0.348
0.169 0.569 0.029
0.192 0.304 0.580
0.212 0.188 0.333
0.248 0.879 0.987
0.251 0.852 0.586
0.401 0.719 0.830
0.428 0.951 0.268
0.466 0.352 0.932
0.486 0.598 0.635
0.514 0.402 0.365
0.534 0.648 0.068
0.572 0.049 0.732
0.599 0.281 0.170
0.749 0.148 0.414
0.752 0.121 0.013
0.788 0.812 0.667
0.808 0.696 0.420
0.831 0.431 0.971
0.837 0.384 0.652
0.854 0.859 0.894
0.864 0.437 0.251
0.910 0.793 0.164
0.951 0.074 0.670